# U3TlF13

A relaxed U3TlF13 crystal (PBE, the Materials Project).

Unit cell a=7.3977 b=8.0573 c=8.5813 alpha=90.00 beta=90.00 gamma=90.00
Element x y z (fractional)
1 U 0.1029 0.2522 0.6209
2 U 0.8971 0.7478 0.1209
3 U 0.8971 0.2522 0.1209
4 U 0.1029 0.7478 0.6209
5 U 0.3903 0.0000 0.9580
6 U 0.6097 0.0000 0.4580
7 Tl 0.6018 0.5000 0.7630
8 Tl 0.3982 0.5000 0.2630
9 F 0.3872 0.1906 0.5046
10 F 0.6128 0.8094 0.0046
11 F 0.6128 0.1906 0.0046
12 F 0.3872 0.8094 0.5046
13 F 0.0995 0.0000 0.5009
14 F 0.9005 0.0000 0.0009
15 F 0.0479 0.3018 0.3664
16 F 0.9521 0.6982 0.8664
17 F 0.9521 0.3018 0.8664
18 F 0.0479 0.6982 0.3664
19 F 0.2704 0.5000 0.5904
20 F 0.7296 0.5000 0.0904
21 F 0.0615 0.5000 0.1129
22 F 0.9385 0.5000 0.6129
23 F 0.1918 0.1703 0.0956
24 F 0.8082 0.8297 0.5956
25 F 0.8082 0.1703 0.5956
26 F 0.1918 0.8297 0.0956
27 F 0.1393 0.0000 0.7813
28 F 0.8607 0.0000 0.2813
29 F 0.5338 0.0000 0.7293
30 F 0.4662 0.0000 0.2293
31 F 0.3187 0.2564 0.8153
32 F 0.6813 0.7436 0.3153
33 F 0.6813 0.2564 0.3153
34 F 0.3187 0.7436 0.8153

Calculated values
Formation energy from the elements (meV/atom): -3745
Total energy (eV/atom): -6.9879



# U6TlF25

A relaxed U6TlF25 crystal (PBE, the Materials Project).

Unit cell a=8.1771 b=8.1771 c=16.6455 alpha=90.00 beta=90.00 gamma=120.00
Element x y z (fractional)
1 U 0.1667 0.3333 0.1128
2 U 0.8333 0.6667 0.8872
3 U 0.6667 0.8333 0.1128
4 U 0.8333 0.6667 0.6128
5 U 0.3333 0.1667 0.8872
6 U 0.1667 0.3333 0.3872
7 U 0.1667 0.8333 0.1128
8 U 0.3333 0.1667 0.6128
9 U 0.8333 0.1667 0.8872
10 U 0.6667 0.8333 0.3872
11 U 0.8333 0.1667 0.6128
12 U 0.1667 0.8333 0.3872
13 Tl 0.3333 0.6667 0.7500
14 Tl 0.6667 0.3333 0.2500
15 F 0.0000 0.0000 0.0727
16 F 0.0000 0.0000 0.9273
17 F 0.0000 0.0000 0.5727
18 F 0.0000 0.0000 0.4273
19 F 0.1882 0.3764 0.2500
20 F 0.8118 0.6236 0.7500
21 F 0.6236 0.8118 0.2500
22 F 0.3764 0.1882 0.7500
23 F 0.1882 0.8118 0.2500
24 F 0.8118 0.1882 0.7500
25 F 0.1371 0.2741 0.6615
26 F 0.8629 0.7259 0.3385
27 F 0.7259 0.8629 0.6615
28 F 0.8629 0.7259 0.1615
29 F 0.2741 0.1371 0.3385
30 F 0.1371 0.2741 0.8385
31 F 0.1371 0.8629 0.6615
32 F 0.2741 0.1371 0.1615
33 F 0.8629 0.1371 0.3385
34 F 0.7259 0.8629 0.8385
35 F 0.8629 0.1371 0.1615
36 F 0.1371 0.8629 0.8385
37 F 0.3227 0.0000 0.0000
38 F 0.6773 0.0000 0.0000
39 F 0.0000 0.3227 0.0000
40 F 0.6773 0.0000 0.5000
41 F 0.0000 0.6773 0.0000
42 F 0.3227 0.0000 0.5000
43 F 0.6773 0.6773 0.0000
44 F 0.0000 0.6773 0.5000
45 F 0.3227 0.3227 0.0000
46 F 0.0000 0.3227 0.5000
47 F 0.3227 0.3227 0.5000
48 F 0.6773 0.6773 0.5000
49 F 0.3333 0.6667 0.0671
50 F 0.6667 0.3333 0.9329
51 F 0.6667 0.3333 0.5671
52 F 0.3333 0.6667 0.4329
53 F 0.5147 0.0295 0.6450
54 F 0.4853 0.9705 0.3550
55 F 0.9705 0.4853 0.6450
56 F 0.4853 0.9705 0.1450
57 F 0.0295 0.5147 0.3550
58 F 0.5147 0.0295 0.8550
59 F 0.5147 0.4853 0.6450
60 F 0.0295 0.5147 0.1450
61 F 0.4853 0.5147 0.3550
62 F 0.9705 0.4853 0.8550
63 F 0.4853 0.5147 0.1450
64 F 0.5147 0.4853 0.8550

Calculated values
Formation energy from the elements (meV/atom): -3843
Total energy (eV/atom): -7.1691